No. 1
VASP calculation (GGA+U) on a geometry-optimized HoMn4Cu3O12 structure.

Lattice parameters (Å, degrees): 7.4232 7.4232 7.4232 90.00 90.00 90.00
With the nearest neighbours (Å) after each atom.
Space group Im-3 (No. 204)
Asymmetric unit:
Ho (0.0000, 0.0000, 0.0000)  12 O 2.57
Mn (0.2500, 0.2500, 0.2500)  6 O 1.99
Cu (0.0000, 0.0000, 0.5000)  4 O 1.94
O (0.0000, 0.3013, 0.1691)  1 Cu 1.94, 2 Mn 1.99

Results
DFT formation energy: -1.844 eV per atom
crystal system: cubic



No. 2
VASP calculation (GGA+U) on a geometry-optimized Li2Fe7O4F8 structure.

Lattice parameters (Å, degrees): 20.4584 8.5507 6.3554 90.00 107.80 90.00
With the nearest neighbours (Å) after each atom.
Space group Cc (No. 9)
Asymmetric unit:
Li (0.0000, 0.1458, 0.0000)  3 F 1.93-2.04, 1 O 1.98
Li (0.2499, 0.2499, 0.7790)  2 O 1.94-2.02
Fe (0.0146, 0.4925, 0.7744)  3 O 1.98-2.19, 1 F 2.08
Fe (0.0876, 0.2331, 0.6321)  3 O 2.02-2.17, 1 F 2.15
Fe (0.1614, 0.4851, 0.9301)  3 O 2.05-2.19, 3 F 2.25-2.28
Fe (0.1678, 0.1439, 0.1600)  1 O 1.92, 2 F 2.01-2.04
Fe (0.3292, 0.3504, 0.3105)  1 O 1.93, 3 F 2.02-2.08
Fe (0.3361, 0.0119, 0.0917)  1 O 1.98, 4 F 2.12-2.21
Fe (0.4220, 0.2772, 0.9658)  2 O 1.98-2.06, 1 F 2.11
O (0.0008, 0.2640, 0.7334)  1 Li 1.98, 3 Fe 1.98-2.08
O (0.0898, 0.4844, 0.5930)  5 Fe 2.05-2.19
O (0.1728, 0.2459, 0.8967)  3 Fe 1.92-2.08, 1 Li 1.94
O (0.3335, 0.2410, 0.0491)  3 Fe 1.93-2.06, 1 Li 2.02
F (0.0007, 0.2671, 0.2768)  1 Li 2.04, 1 Fe 2.08
F (0.0812, 0.0174, 0.1061)  1 Li 1.93, 2 Fe 2.01-2.15
F (0.1727, 0.2502, 0.4517)  2 Fe 2.04-2.28, 1 Li 2.19
F (0.2435, 0.4928, 0.2604)  3 Fe 2.08-2.26, 1 Li 2.20
F (0.2605, 0.0071, 0.2646)  3 Fe 2.15-2.18, 1 Li 2.21
F (0.3377, 0.2357, 0.6055)  2 Fe 2.08-2.12
F (0.4154, 0.0066, 0.9162)  4 Fe 2.21-2.46
F (0.4161, 0.4773, 0.4293)  1 Li 1.95, 2 Fe 2.02-2.11

Results
DFT formation energy: -2.168 eV per atom
crystal system: monoclinic



No. 3
VASP calculation (GGA+U) on a geometry-optimized Li3V3P8O29 structure.

Lattice parameters (Å, degrees): 9.7413 9.7662 14.1395 89.67 89.97 60.20
With the nearest neighbours (Å) after each atom.
Space group P1 (No. 1)
Asymmetric unit:
Li (0.0000, 0.0000, 0.0000)  2 O 1.87-2.09
Li (0.0060, 0.0821, 0.4779)  3 O 1.95-2.05
Li (0.1019, 0.7142, 0.5496)  3 O 1.90-2.11
Li (0.3428, 0.9384, 0.9362)  3 O 1.93-2.12
Li (0.3570, 0.3538, 0.3808)  1 O 1.91
Li (0.7825, 0.3585, 0.9355)  2 O 1.93-1.96
V (0.0114, 0.5969, 0.7479)  6 O 1.82-2.01
V (0.0167, 0.4627, 0.2392)  6 O 1.85-2.01
V (0.4494, 0.6010, 0.2410)  6 O 1.84-2.03
V (0.4556, 0.0337, 0.7365)  6 O 1.83-2.01
V (0.5803, 0.4661, 0.7357)  6 O 1.84-1.95
V (0.5882, 0.0288, 0.2407)  6 O 1.84-2.06
P (0.1032, 0.2519, 0.8322)  4 O 1.48-1.61
P (0.1083, 0.7147, 0.3356)  4 O 1.48-1.60
P (0.2359, 0.1197, 0.3338)  4 O 1.47-1.63
P (0.2441, 0.7205, 0.8333)  4 O 1.49-1.61
P (0.3254, 0.8088, 0.6490)  4 O 1.48-1.61
P (0.3264, 0.9488, 0.1499)  4 O 1.49-1.59
P (0.3445, 0.3705, 0.6211)  4 O 1.49-1.58
P (0.3510, 0.3646, 0.1226)  4 O 1.47-1.58
P (0.6776, 0.6970, 0.8607)  4 O 1.48-1.61
P (0.6855, 0.6969, 0.3610)  4 O 1.47-1.58
P (0.7086, 0.2510, 0.3338)  4 O 1.47-1.63
P (0.7109, 0.1160, 0.8342)  4 O 1.47-1.62
P (0.7895, 0.3422, 0.1495)  4 O 1.49-1.59
P (0.7974, 0.9469, 0.6486)  4 O 1.47-1.61
P (0.9342, 0.3409, 0.6471)  4 O 1.47-1.62
P (0.9356, 0.8084, 0.1521)  4 O 1.47-1.62
O (0.0053, 0.2547, 0.5595)  1 P 1.47
O (0.0113, 0.2495, 0.9154)  1 P 1.48
O (0.0143, 0.8278, 0.2483)  2 P 1.60-1.62
O (0.0144, 0.8290, 0.0690)  1 P 1.47
O (0.0252, 0.2304, 0.7373)  2 P 1.61-1.62
O (0.0352, 0.7948, 0.4256)  1 P 1.48
O (0.0987, 0.2957, 0.3244)  1 P 1.57
O (0.1025, 0.4123, 0.8190)  1 P 1.57
O (0.1077, 0.6812, 0.8242)  1 P 1.56
O (0.1214, 0.5509, 0.3216)  1 P 1.55
O (0.1978, 0.5199, 0.6601)  1 P 1.55
O (0.2016, 0.3679, 0.1683)  1 P 1.58
O (0.2132, 0.0398, 0.4162)  1 P 1.47
O (0.2154, 0.0417, 0.2369)  2 P 1.59-1.63
O (0.2207, 0.8287, 0.7414)  2 P 1.61
O (0.2331, 0.8152, 0.9178)  1 P 1.49
O (0.2341, 0.8126, 0.5645)  1 P 1.48
O (0.2468, 0.0160, 0.0579)  1 P 1.49
O (0.2771, 0.1150, 0.8302)  1 P 1.55
O (0.2809, 0.6848, 0.3248)  1 P 1.57
O (0.3490, 0.2198, 0.6664)  1 P 1.58
O (0.3490, 0.3698, 0.5158)  1 P 1.49
O (0.3524, 0.3646, 0.0184)  1 P 1.47
O (0.3563, 0.5080, 0.1700)  1 P 1.58
O (0.3610, 0.7749, 0.1616)  1 P 1.57
O (0.3646, 0.9443, 0.6580)  1 P 1.55
O (0.3911, 0.1275, 0.3255)  1 P 1.56
O (0.4021, 0.5651, 0.8186)  1 P 1.55
O (0.4829, 0.9493, 0.1655)  1 P 1.54
O (0.4845, 0.6500, 0.6634)  1 P 1.57
O (0.4944, 0.2155, 0.1705)  1 P 1.58
O (0.4947, 0.3681, 0.6658)  1 P 1.58
O (0.5290, 0.8467, 0.8190)  1 P 1.57
O (0.5440, 0.6857, 0.3150)  1 P 1.58
O (0.5457, 0.4050, 0.3248)  1 P 1.56
O (0.5538, 0.1115, 0.8173)  1 P 1.57
O (0.6336, 0.4984, 0.1655)  1 P 1.54
O (0.6359, 0.9474, 0.6650)  1 P 1.59
O (0.6699, 0.1133, 0.3263)  1 P 1.57
O (0.6710, 0.2917, 0.8255)  1 P 1.56
O (0.6729, 0.8498, 0.3147)  1 P 1.58
O (0.6811, 0.6927, 0.9656)  1 P 1.48
O (0.6853, 0.5450, 0.8186)  1 P 1.57
O (0.6874, 0.6950, 0.4651)  1 P 1.47
O (0.7583, 0.3810, 0.6616)  1 P 1.57
O (0.7592, 0.9445, 0.1602)  1 P 1.57
O (0.7998, 0.2628, 0.0582)  1 P 1.49
O (0.8017, 0.0401, 0.9210)  1 P 1.47
O (0.8056, 0.0247, 0.5613)  1 P 1.47
O (0.8071, 0.2305, 0.2368)  2 P 1.59-1.63
O (0.8093, 0.2332, 0.4155)  1 P 1.47
O (0.8155, 0.0310, 0.7417)  2 P 1.61-1.62
O (0.8279, 0.6976, 0.8147)  1 P 1.61
O (0.8367, 0.5594, 0.3128)  1 P 1.58
O (0.9292, 0.3764, 0.1601)  1 P 1.56
O (0.9331, 0.7717, 0.6576)  1 P 1.56
O (0.9363, 0.4973, 0.6652)  1 P 1.56
O (0.9412, 0.6483, 0.1625)  1 P 1.54

Results
DFT formation energy: -2.520 eV per atom
energy above the most stable polymorph in this dataset: 0.013 eV/atom
crystal system: triclinic



What is the DFT formation energy in the first record? -1.844 eV per atom



What is the DFT formation energy in the first record? -1.844 eV per atom